[1]
A relaxed structure of NaPt2, computed with PBE-GGA.

abc: 7.590 7.590 7.590
angles: 90.00 90.00 90.00
Space group Fd-3m (No. 227, origin choice 2)
One atom of each set of equivalent atoms:
Na1 0.125 0.125 0.125
Pt1 0.000 0.000 0.500

Calculated values
**Energy relative to the elements**: -1.097 eV per formula unit
**E_tot**: -4.85 eV per atom

---

[2]
A relaxed structure of Th2Si3Pt, computed with PBE-GGA.

abc: 4.205 4.241 14.141
angles: 90.00 90.00 90.00
Space group Imm2 (No. 44)
One atom of each set of equivalent atoms:
Th1 0.000 0.000 0.000
Th2 0.000 0.500 0.245
Si1 0.000 0.000 0.580
Si2 0.000 0.500 0.660
Si3 0.000 0.500 0.829
Pt1 0.000 0.000 0.412

Calculated values
**Energy relative to the elements**: -5.891 eV per formula unit
**E_tot**: -7.18 eV per atom

---

[3]
A relaxed structure of Sn2P2O9, computed with PBE-GGA.

abc: 14.451 6.593 8.003
angles: 90.00 90.00 90.00
Space group Pnma (No. 62)
One atom of each set of equivalent atoms:
Sn1 0.000 0.000 0.000
Sn2 0.126 0.250 0.357
P1 0.063 0.750 0.356
P2 0.189 0.750 0.894
O1 0.014 0.250 0.515
O2 0.015 0.750 0.172
O3 0.049 0.250 0.137
O4 0.123 0.561 0.361
O5 0.127 0.555 0.905
O6 0.234 0.250 0.531
O7 0.246 0.750 0.729

Calculated values
**Energy relative to the elements**: -30.826 eV per formula unit
**E_tot**: -6.77 eV per atom
**Total magnetic moment**: 0.0 μB/cell

---

[4]
A relaxed structure of HoSiIr, computed with PBE-GGA.

abc: 6.839 4.231 7.436
angles: 90.00 90.00 90.00
Space group Pnma (No. 62)
One atom of each set of equivalent atoms:
Ho1 0.001 0.250 0.188
Si1 0.202 0.750 0.391
Ir1 0.158 0.250 0.568

Calculated values
**Energy relative to the elements**: -3.239 eV per formula unit
**E_tot**: -7.36 eV per atom

---

[5]
A relaxed structure of Tm2TlCd, computed with PBE-GGA.

abc: 7.455 7.455 7.455
angles: 90.00 90.00 90.00
Space group Fm-3m (No. 225)
One atom of each set of equivalent atoms:
Tm1 0.250 0.250 0.250
Tl1 0.000 0.000 0.000
Cd1 0.000 0.000 0.500

Calculated values
**Energy relative to the elements**: -1.224 eV per formula unit
**E_tot**: -3.37 eV per atom

---

[6]
A relaxed structure of LiSi, computed with PBE-GGA.

abc: 6.221 6.221 6.221
angles: 90.00 90.00 90.00
Space group Fd-3m (No. 227, origin choice 2)
One atom of each set of equivalent atoms:
Li1 0.125 0.125 0.125
Si1 0.125 0.125 0.625

Calculated values
**Energy relative to the elements**: 0.243 eV per formula unit
**E_tot**: -3.58 eV per atom
**Total magnetic moment**: 0.0 μB/cell